Arrangement A

Entry from the Materials Project: a relaxed structure of Li5Co4O8 (PBE+U).

```
data_Li5Co4O8
_chemical_formula_sum 'Li10 Co8 O16'
_cell_length_a 5.800
_cell_length_b 5.812
_cell_length_c 9.542
_cell_angle_alpha 89.95
_cell_angle_beta 89.93
_cell_angle_gamma 60.08
_space_group_name_H-M_alt 'P 1'
_space_group_IT_number 1
loop_
_space_group_symop_operation_xyz
'x,y,z'
loop_
_atom_site_label
_atom_site_type_symbol
_atom_site_fract_x
_atom_site_fract_y
_atom_site_fract_z
_atom_site_occupancy
Li1 Li 0.000 0.000 0.000 1
Li2 Li 0.000 0.419 0.000 1
Li3 Li 0.142 0.140 0.779 1
Li4 Li 0.199 0.602 0.500 1
Li5 Li 0.421 0.999 0.001 1
Li6 Li 0.481 0.461 0.281 1
Li7 Li 0.620 0.181 0.500 1
Li8 Li 0.620 0.602 0.501 1
Li9 Li 0.810 0.802 0.079 1
Li10 Li 0.812 0.799 0.579 1
Co1 Co 0.145 0.130 0.532 1
Co2 Co 0.145 0.637 0.772 1
Co3 Co 0.473 0.472 0.032 1
Co4 Co 0.477 0.964 0.273 1
Co5 Co 0.640 0.637 0.772 1
Co6 Co 0.641 0.141 0.772 1
Co7 Co 0.981 0.460 0.272 1
Co8 Co 0.981 0.964 0.272 1
O1 O 0.139 0.634 0.158 1
O2 O 0.146 0.130 0.165 1
O3 O 0.302 0.285 0.389 1
O4 O 0.302 0.816 0.388 1
O5 O 0.318 0.316 0.888 1
O6 O 0.318 0.785 0.888 1
O7 O 0.476 0.471 0.665 1
O8 O 0.483 0.967 0.658 1
O9 O 0.648 0.125 0.159 1
O10 O 0.650 0.634 0.158 1
O11 O 0.786 0.317 0.888 1
O12 O 0.808 0.805 0.878 1
O13 O 0.813 0.796 0.378 1
O14 O 0.834 0.285 0.388 1
O15 O 0.972 0.967 0.658 1
O16 O 0.973 0.476 0.659 1
```

Arrangement B

Entry from the Materials Project: a relaxed structure of Li5Co4O8 (PBE+U).

```
data_Li5Co4O8
_chemical_formula_sum 'Li20 Co16 O32'
_cell_length_a 8.203
_cell_length_b 8.212
_cell_length_c 8.357
_cell_angle_alpha 89.84
_cell_angle_beta 89.85
_cell_angle_gamma 89.93
_space_group_name_H-M_alt 'P 1'
_space_group_IT_number 1
loop_
_space_group_symop_operation_xyz
'x,y,z'
loop_
_atom_site_label
_atom_site_type_symbol
_atom_site_fract_x
_atom_site_fract_y
_atom_site_fract_z
_atom_site_occupancy
Li1 Li 0.000 0.000 0.000 1
Li2 Li 0.002 0.724 0.728 1
Li3 Li 0.026 0.208 0.192 1
Li4 Li 0.203 0.727 0.517 1
Li5 Li 0.210 0.503 0.713 1
Li6 Li 0.223 0.217 0.987 1
Li7 Li 0.242 0.006 0.193 1
Li8 Li 0.350 0.862 0.365 1
Li9 Li 0.366 0.377 0.863 1
Li10 Li 0.482 0.223 0.692 1
Li11 Li 0.497 0.727 0.204 1
Li12 Li 0.507 0.009 0.486 1
Li13 Li 0.513 0.505 0.010 1
Li14 Li 0.707 0.026 0.693 1
Li15 Li 0.715 0.250 0.499 1
Li16 Li 0.719 0.514 0.242 1
Li17 Li 0.724 0.716 0.016 1
Li18 Li 0.841 0.876 0.852 1
Li19 Li 0.886 0.355 0.345 1
Li20 Li 0.988 0.519 0.513 1
Co1 Co 0.231 0.492 0.232 1
Co2 Co 0.232 0.991 0.732 1
Co3 Co 0.233 0.244 0.478 1
Co4 Co 0.233 0.744 0.977 1
Co5 Co 0.475 0.498 0.479 1
Co6 Co 0.485 0.743 0.731 1
Co7 Co 0.489 0.242 0.229 1
Co8 Co 0.491 0.994 0.978 1
Co9 Co 0.734 0.493 0.732 1
Co10 Co 0.735 0.746 0.483 1
Co11 Co 0.738 0.246 0.984 1
Co12 Co 0.738 0.996 0.235 1
Co13 Co 0.982 0.496 0.979 1
Co14 Co 0.982 0.992 0.485 1
Co15 Co 0.983 0.242 0.736 1
Co16 Co 0.983 0.748 0.230 1
O1 O 0.217 0.508 0.976 1
O2 O 0.217 0.988 0.500 1
O3 O 0.222 0.750 0.211 1
O4 O 0.223 0.497 0.482 1
O5 O 0.224 0.231 0.740 1
O6 O 0.233 0.980 0.964 1
O7 O 0.244 0.752 0.744 1
O8 O 0.252 0.241 0.221 1
O9 O 0.471 0.983 0.729 1
O10 O 0.474 0.741 0.967 1
O11 O 0.483 0.240 0.462 1
O12 O 0.489 0.481 0.235 1
O13 O 0.498 0.505 0.729 1
O14 O 0.498 0.750 0.497 1
O15 O 0.498 0.999 0.232 1
O16 O 0.502 0.247 0.994 1
O17 O 0.725 0.734 0.718 1
O18 O 0.732 0.234 0.220 1
O19 O 0.742 0.504 0.494 1
O20 O 0.743 0.255 0.747 1
O21 O 0.744 0.758 0.247 1
O22 O 0.745 0.007 0.002 1
O23 O 0.746 0.483 0.967 1
O24 O 0.746 0.984 0.469 1
O25 O 0.972 0.482 0.745 1
O26 O 0.972 0.756 0.468 1
O27 O 0.975 0.511 0.210 1
O28 O 0.976 0.257 0.970 1
O29 O 0.977 0.985 0.248 1
O30 O 0.979 0.228 0.503 1
O31 O 0.986 0.738 0.988 1
O32 O 0.988 0.000 0.722 1
```

Arrangement C

Entry from the Materials Project: a relaxed structure of Li5Co4O8 (PBE+U).

```
data_Li5Co4O8
_chemical_formula_sum 'Li10 Co8 O16'
_cell_length_a 5.7787
_cell_length_b 5.7787
_cell_length_c 9.5373
_cell_angle_alpha 90.00
_cell_angle_beta 90.00
_cell_angle_gamma 120.00
_space_group_name_H-M_alt 'P 63 m c'
_space_group_IT_number 186
_space_group_name_Hall 'P 6c -2c'
loop_
_atom_site_label
_atom_site_type_symbol
_atom_site_fract_x
_atom_site_fract_y
_atom_site_fract_z
_atom_site_occupancy
Li1 Li 0.0000 0.0000 0.0000 1
Li2 Li 0.1913 0.3826 0.0774 1
Li3 Li 0.3333 0.6667 0.2975 1
Co1 Co 0.1702 0.3404 0.8060 1
Co2 Co 0.3333 0.6667 0.5475 1
O1 O 0.0000 0.0000 0.1993 1
O2 O 0.0139 0.5070 0.6917 1
O3 O 0.1587 0.3174 0.4194 1
O4 O 0.3333 0.6667 0.9148 1
```

arrangement B is the most stable structure; the next one sits 0.006 eV/atom above it.

Arrangement A

Entry from the Materials Project: a relaxed structure of Li4CoO4 (PBE+U).

```
data_Li4CoO4
_chemical_formula_sum 'Li16 Co4 O16'
_cell_length_a 6.712
_cell_length_b 9.216
_cell_length_c 6.312
_cell_angle_alpha 90.00
_cell_angle_beta 90.00
_cell_angle_gamma 90.00
_space_group_name_H-M_alt 'P n n m'
_space_group_IT_number 58
loop_
_space_group_symop_operation_xyz
'x,y,z'
'-x,-y,-z'
'-x,-y,z'
'x,y,-z'
'x+1/2,-y+1/2,-z+1/2'
'-x+1/2,y+1/2,z+1/2'
'-x+1/2,y+1/2,-z+1/2'
'x+1/2,-y+1/2,z+1/2'
loop_
_atom_site_label
_atom_site_type_symbol
_atom_site_fract_x
_atom_site_fract_y
_atom_site_fract_z
_atom_site_occupancy
Li1 Li 0.038 0.130 0.247 1
Li2 Li 0.181 0.588 0.000 1
Li3 Li 0.249 0.820 0.500 1
Co1 Co 0.242 0.374 0.500 1
O1 O 0.025 0.763 0.000 1
O2 O 0.050 0.239 0.500 1
O3 O 0.230 0.969 0.250 1
```

Arrangement B

Entry from the Materials Project: a relaxed structure of Li4CoO4 (PBE+U).

```
data_Li4CoO4
_chemical_formula_sum 'Li16 Co4 O16'
_cell_length_a 7.496
_cell_length_b 6.605
_cell_length_c 8.058
_cell_angle_alpha 90.00
_cell_angle_beta 90.39
_cell_angle_gamma 90.00
_space_group_name_H-M_alt 'P 1 m 1'
_space_group_IT_number 6
loop_
_space_group_symop_operation_xyz
'x,y,z'
'x,-y,z'
loop_
_atom_site_label
_atom_site_type_symbol
_atom_site_fract_x
_atom_site_fract_y
_atom_site_fract_z
_atom_site_occupancy
Li1 Li 0.000 0.000 0.000 1
Li2 Li 0.015 0.500 0.853 1
Li3 Li 0.224 0.249 0.405 1
Li4 Li 0.258 0.265 0.065 1
Li5 Li 0.267 0.254 0.722 1
Li6 Li 0.503 0.000 0.120 1
Li7 Li 0.542 0.000 0.737 1
Li8 Li 0.568 0.500 0.566 1
Li9 Li 0.720 0.259 0.222 1
Li10 Li 0.763 0.250 0.896 1
Li11 Li 0.946 0.500 0.522 1
Co1 Co 0.011 0.000 0.684 1
Co2 Co 0.484 0.000 0.429 1
Co3 Co 0.514 0.500 0.924 1
Co4 Co 0.988 0.500 0.179 1
O1 O 0.049 0.241 0.587 1
O2 O 0.203 0.000 0.842 1
O3 O 0.208 0.500 0.267 1
O4 O 0.282 0.500 0.858 1
O5 O 0.299 0.000 0.273 1
O6 O 0.457 0.220 0.561 1
O7 O 0.541 0.264 0.034 1
O8 O 0.678 0.000 0.306 1
O9 O 0.703 0.500 0.782 1
O10 O 0.803 0.000 0.798 1
O11 O 0.807 0.500 0.324 1
O12 O 0.970 0.284 0.043 1
```

arrangement A is the most stable structure; the next one sits 0.012 eV/atom above it.